Entry 1:
2
Lattice="5.8747 -1.7739 0.0000 5.8747 1.7739 0.0000 5.3390 0.0000 3.0255" Properties=species:S:1:pos:R:3 comment="HoTh, optimized geometry, DFT PBE" sg="R-3m, No. 166" formation_enthalpy_0k_ev_per_atom=0.02 e_tot_ev_per_atom=-5.974 pbc="T T T"
Ho 0.0000 0.0000 0.0000
Th 8.5442 0.0000 1.5127

=====

Entry 2:
4
Lattice="-1.9675 3.1875 2.9557 -4.2192 -0.6193 -2.1407 -1.0464 -3.4963 3.0739" Properties=species:S:1:pos:R:3 comment="HoTl3, optimized geometry, DFT PBE" sg="Pm-3m, No. 221" formation_enthalpy_0k_ev_per_atom=-0.22 e_tot_ev_per_atom=-3.134 pbc="T T T"
Tl -3.0934 1.2841 0.4075
Tl -1.5069 -0.1544 3.0148
Tl -2.6328 -2.0578 0.4666
Ho 0.0000 0.0000 0.0000

=====

Entry 3:
4
Lattice="-5.0999 -1.4619 -0.5260 -3.0481 -0.6445 4.3263 -3.8945 3.4832 1.0600" Properties=species:S:1:pos:R:3 comment="HoTmTl2, optimized geometry, DFT PBE" sg="Fm-3m, No. 225" formation_enthalpy_0k_ev_per_atom=-0.31 e_tot_ev_per_atom=-3.754 pbc="T T T"
Tm 0.0000 0.0000 0.0000
Ho -6.0212 0.6884 2.4301
Tl -9.0319 1.0326 3.6452
Tl -3.0106 0.3442 1.2151

=====

Entry 4:
4
Lattice="-2.1870 2.1870 4.7530 2.1870 -2.1870 4.7530 2.1870 2.1870 -4.7530" Properties=species:S:1:pos:R:3 comment="HoU3, optimized geometry, DFT PBE" sg="I4/mmm, No. 139" formation_enthalpy_0k_ev_per_atom=0.53 e_tot_ev_per_atom=-9.088 pbc="T T T"
U 0.0000 0.0000 4.7530
U 0.0000 2.1870 2.3765
U 2.1870 0.0000 2.3765
Ho 0.0000 0.0000 0.0000